The following is a PBE calculation of YZnCu3Se4 after structural relaxation, from the Materials Project.

Calculated values
As for the formation enthalpy at 0 K: -0.77 eV/atom. The value obtained for the total DFT energy (no corrections) is -4.337 eV per atom.

Structure (CIF):
```
data_YZnCu3Se4
_cell_length_a 8.3297
_cell_length_b 8.3297
_cell_length_c 10.1885
_cell_angle_alpha 90.00
_cell_angle_beta 90.00
_cell_angle_gamma 120.00
_space_group_name_H-M_alt 'R 3 m'
_space_group_IT_number 160
_space_group_name_Hall 'R 3 -2"'
loop_
_atom_site_label
_atom_site_fract_x
_atom_site_fract_y
_atom_site_fract_z
Y1 0.0000 0.0000 0.0000
Zn1 0.0000 0.0000 0.5001
Cu1 0.0001 0.5000 0.5003
Se1 0.0000 0.0000 0.7412
Se2 0.1729 0.3457 0.0867
```

The following is a PBE calculation of DyB4Rh7 after structural relaxation, from the Materials Project.

Calculated values
As for the formation enthalpy at 0 K: -0.34 eV/atom. The value obtained for the total DFT energy (no corrections) is -7.248 eV per atom.

Structure (CIF):
```
data_DyB4Rh7
_cell_length_a 2.908
_cell_length_b 9.608
_cell_length_c 5.533
_cell_angle_alpha 90.00
_cell_angle_beta 90.00
_cell_angle_gamma 90.00
_space_group_name_H-M_alt 'P m m 2'
_space_group_IT_number 25
loop_
_space_group_symop_operation_xyz
'x,y,z'
'-x,-y,z'
'-x,y,z'
'x,-y,z'
loop_
_atom_site_label
_atom_site_fract_x
_atom_site_fract_y
_atom_site_fract_z
Dy1 0.000 0.000 0.000
B1 0.000 0.167 0.500
B2 0.000 0.334 0.000
Rh1 0.000 0.500 0.500
Rh2 0.500 0.000 0.497
Rh3 0.500 0.250 0.750
Rh4 0.500 0.254 0.254
Rh5 0.500 0.500 0.994
```

The following is a PBE calculation of Ca3Be2P4H10O20 after structural relaxation, from the Materials Project.

Calculated values
As for the formation enthalpy at 0 K: -2.43 eV/atom. The value obtained for the total DFT energy (no corrections) is -6.385 eV per atom.

Structure (CIF):
```
data_Ca3Be2P4H10O20
_cell_length_a 7.106
_cell_length_b 7.380
_cell_length_c 7.796
_cell_angle_alpha 102.38
_cell_angle_beta 94.41
_cell_angle_gamma 96.34
_space_group_name_H-M_alt 'P -1'
_space_group_IT_number 2
loop_
_space_group_symop_operation_xyz
'x,y,z'
'-x,-y,-z'
loop_
_atom_site_label
_atom_site_fract_x
_atom_site_fract_y
_atom_site_fract_z
Ca1 0.000 0.000 0.000
Ca2 0.023 0.290 0.606
Be1 0.484 0.732 0.418
P1 0.272 0.355 0.302
P2 0.318 0.958 0.698
H1 0.171 0.647 0.038
H2 0.279 0.363 0.950
H3 0.283 0.814 0.178
H4 0.366 0.487 0.825
H5 0.493 0.152 0.124
O1 0.073 0.413 0.331
O2 0.118 0.015 0.714
O3 0.151 0.758 0.129
O4 0.246 0.450 0.874
O5 0.271 0.210 0.124
O6 0.307 0.805 0.525
O7 0.321 0.262 0.459
O8 0.368 0.868 0.860
O9 0.424 0.521 0.298
O10 0.474 0.124 0.712
```

The following is a PBE calculation of Ho5Ge10Os4 after structural relaxation, from the Materials Project.

Calculated values
As for the formation enthalpy at 0 K: -0.54 eV/atom. The value obtained for the total DFT energy (no corrections) is -6.544 eV per atom.

Structure (CIF):
```
data_Ho5Ge10Os4
_cell_length_a 13.165
_cell_length_b 13.165
_cell_length_c 4.267
_cell_angle_alpha 90.00
_cell_angle_beta 90.00
_cell_angle_gamma 90.00
_space_group_name_H-M_alt 'P 4/m b m'
_space_group_IT_number 127
_space_group_name_Hall '-P 4 2ab'
loop_
_atom_site_label
_atom_site_fract_x
_atom_site_fract_y
_atom_site_fract_z
Ho1 0.000 0.000 0.000
Ho2 0.117 0.383 0.500
Ho3 0.172 0.672 0.500
Ge1 0.008 0.842 0.500
Ge2 0.068 0.568 0.000
Ge3 0.164 0.198 0.000
Os1 0.018 0.752 0.000
```